The following is a DFT calculation (GGA-PBE) of Rb3Cu3Bi8Se15 after structural relaxation.

Cell: 12.7898 14.4511 19.1264 Å, 90.00 103.11 90.00°
Closest atoms and distances in Å follow each position.
Space group C2/c (No. 15)
Symmetry-distinct sites (fractional):
Rb (0.0000, 0.2232, 0.2500) (multiplicity 4)  6 Se 3.43-3.53, 1 Cu 3.80
Rb (0.1670, 0.2798, 0.7474) (multiplicity 8)  6 Se 3.37-3.54
Cu (0.0000, 0.0396, 0.7500) (multiplicity 4)  4 Se 2.42-2.58
Cu (0.1690, 0.4537, 0.2601) (multiplicity 8)  4 Se 2.46-2.70
Bi (0.0544, 0.4733, 0.4026) (multiplicity 8)  6 Se 2.87-3.09
Bi (0.0743, 0.2528, 0.0002) (multiplicity 8)  6 Se 2.87-3.11
Bi (0.1186, 0.0312, 0.5946) (multiplicity 8)  6 Se 2.84-3.13
Bi (0.2175, 0.0230, 0.9007) (multiplicity 8)  6 Se 2.87-3.14
Se (0.0000, 0.4611, 0.7500) (multiplicity 4)  2 Cu 2.46
Se (0.0395, 0.1481, 0.8601) (multiplicity 8)  1 Cu 2.58, 1 Bi 2.87
Se (0.0609, 0.1132, 0.4539) (multiplicity 8)  4 Bi 2.88-3.14
Se (0.0917, 0.3868, 0.5472) (multiplicity 8)  4 Bi 2.87-3.12
Se (0.1323, 0.3511, 0.1388) (multiplicity 8)  1 Cu 2.70, 3 Bi 2.87-2.95
Se (0.1685, 0.0380, 0.2537) (multiplicity 8)  2 Cu 2.42-2.47
Se (0.2043, 0.3470, 0.3628) (multiplicity 8)  1 Cu 2.46
Se (0.2332, 0.3817, 0.9521) (multiplicity 8)  5 Bi 3.05-3.13

Output
Its total energy is -452.02 eV per cell. For the formation energy, the calculation gives -734 meV/atom.


The following is a DFT calculation (GGA-PBE) of Cu6BiS6 after structural relaxation.

Cell: 3.7999 3.9030 19.0907 Å, 91.89 90.39 117.50°
Closest atoms and distances in Å follow each position.
Space group P1 (No. 1)
Symmetry-distinct sites (fractional):
Cu (0.0000, 0.0000, 0.0000) (multiplicity 1)  4 S 2.30-2.35
Cu (0.0137, 0.0218, 0.7509) (multiplicity 1)  4 S 2.28-2.46
Cu (0.2581, 0.5047, 0.8579) (multiplicity 1)  3 S 2.17-2.31
Cu (0.5094, 0.3278, 0.4056) (multiplicity 1)  3 S 2.22-2.24
Cu (0.6951, 0.3779, 0.6599) (multiplicity 1)  4 S 2.30-2.50
Cu (0.9453, 0.8585, 0.5161) (multiplicity 1)  3 S 2.19-2.22
Bi (0.3799, 0.7582, 0.2080) (multiplicity 1)  6 S 2.75-2.84
S (0.0199, 0.0767, 0.1221) (multiplicity 1)  1 Cu 2.34
S (0.0290, 0.0341, 0.6291) (multiplicity 1)  5 Cu 2.22-2.37
S (0.3302, 0.6500, 0.9698) (multiplicity 1)  4 Cu 2.17-2.35
S (0.4114, 0.7944, 0.4589) (multiplicity 1)  4 Cu 2.19-2.24
S (0.7092, 0.4087, 0.7908) (multiplicity 1)  6 Cu 2.28-2.50
S (0.7162, 0.4179, 0.2962) (multiplicity 1)  1 Cu 2.22

Output
Its total energy is -55.41 eV per cell. For the formation energy, the calculation gives -394 meV/atom.


The following is a DFT calculation (GGA-PBE) of Cu6BiSe6 after structural relaxation.

Cell: 9.6528 4.0196 27.2842 Å, 90.00 90.00 90.00°
Closest atoms and distances in Å follow each position.
Space group Pnma (No. 62)
Symmetry-distinct sites (fractional):
Cu (0.0262, 0.2500, 0.1157) (multiplicity 4)  4 Se 2.37-2.49, 1 Cu 2.57
Cu (0.0688, 0.2500, 0.0227) (multiplicity 4)  4 Se 2.44-2.55, 3 Cu 2.57-2.71
Cu (0.0810, 0.2500, 0.4964) (multiplicity 4)  4 Se 2.43-2.69, 2 Cu 2.55
Cu (0.1488, 0.2500, 0.2590) (multiplicity 4)  4 Se 2.42-2.57, 2 Cu 2.63
Cu (0.1916, 0.2500, 0.7847) (multiplicity 4)  3 Se 2.39-2.44, 2 Cu 2.63
Cu (0.2167, 0.7500, 0.4461) (multiplicity 4)  4 Se 2.47-2.50, 2 Cu 2.76
Bi (0.1030, 0.2500, 0.6381) (multiplicity 4)  3 Se 2.77-2.84
Se (0.0111, 0.7500, 0.2688) (multiplicity 4)  3 Cu 2.42-2.44
Se (0.0298, 0.2500, 0.9343) (multiplicity 4)  6 Cu 2.44-2.51
Se (0.1359, 0.2500, 0.3997) (multiplicity 4)  3 Cu 2.50-2.69, 1 Se 2.55
Se (0.1696, 0.7500, 0.5357) (multiplicity 4)  5 Cu 2.43-2.57
Se (0.1830, 0.7500, 0.8318) (multiplicity 4)  4 Cu 2.39-2.57, 1 Se 2.55
Se (0.2134, 0.2500, 0.1721) (multiplicity 4)  2 Cu 2.37-2.45

Output
Its total energy is -206.09 eV per cell. For the formation energy, the calculation gives -376 meV/atom.


The following is a DFT calculation (GGA-PBE) of CuBiSe2 after structural relaxation.

Cell: 4.0620 4.0620 19.1350 Å, 90.00 90.00 120.00°
Closest atoms and distances in Å follow each position.
Space group R-3m (No. 166, hexagonal axes)
Symmetry-distinct sites (fractional):
Cu (0.0000, 0.0000, 0.0000) (multiplicity 3)  6 Se 2.71
Bi (0.0000, 0.0000, 0.5000) (multiplicity 3)  6 Se 2.97
Se (0.0000, 0.0000, 0.2622) (multiplicity 6)  3 Cu 2.71, 3 Bi 2.97

Output
Its total energy is -46.93 eV per cell. For the formation energy, the calculation gives -402 meV/atom.


The following is a DFT calculation (GGA-PBE) of SrCuBi after structural relaxation.

Cell: 4.6820 4.6820 8.9253 Å, 90.00 90.00 120.00°
Closest atoms and distances in Å follow each position.
Space group P6_3/mmc (No. 194)
Symmetry-distinct sites (fractional):
Sr (0.0000, 0.0000, 0.0000) (multiplicity 2)  6 Bi 3.51, 6 Cu 3.51
Cu (0.3333, 0.6667, 0.2500) (multiplicity 2)  3 Bi 2.70
Bi (0.3333, 0.6667, 0.7500) (multiplicity 2)  3 Cu 2.70

Output
Its total energy is -22.46 eV per cell. For the formation energy, the calculation gives -518 meV/atom.


The following is a DFT calculation (GGA-PBE) of Ti5CuBi3 after structural relaxation.

Cell: 8.3899 8.3899 5.5956 Å, 90.00 90.00 120.00°
Closest atoms and distances in Å follow each position.
Space group P6_3/mcm (No. 193)
Symmetry-distinct sites (fractional):
Ti (0.0000, 0.2670, 0.2500) (multiplicity 6)  2 Cu 2.64, 5 Bi 2.84-2.96
Ti (0.3333, 0.6667, 0.0000) (multiplicity 4)  2 Ti 2.80, 6 Bi 2.97
Cu (0.0000, 0.0000, 0.0000) (multiplicity 2)  6 Ti 2.64, 2 Cu 2.80
Bi (0.0000, 0.3809, 0.7500) (multiplicity 6)  9 Ti 2.84-2.97

Output
Its total energy is -113.47 eV per cell. For the formation energy, the calculation gives -165 meV/atom.


The following is a DFT calculation (GGA-PBE) of Zr5CuBi3 after structural relaxation.

Cell: 8.8375 8.8375 5.9215 Å, 90.00 90.00 120.00°
Closest atoms and distances in Å follow each position.
Space group P6_3/mcm (No. 193)
Symmetry-distinct sites (fractional):
Zr (0.0000, 0.2614, 0.2500) (multiplicity 6)  2 Cu 2.74, 2 Bi 3.01
Zr (0.3333, 0.6667, 0.0000) (multiplicity 4)  2 Zr 2.96, 6 Bi 3.12
Cu (0.0000, 0.0000, 0.0000) (multiplicity 2)  6 Zr 2.74, 2 Cu 2.96
Bi (0.0000, 0.3846, 0.7500) (multiplicity 6)  9 Zr 3.01-3.15

Output
Its total energy is -124.11 eV per cell. For the formation energy, the calculation gives -394 meV/atom.


The following is a DFT calculation (GGA-PBE) of Zr6CuBi2 after structural relaxation.

Cell: 7.8541 7.8541 3.8406 Å, 90.00 90.00 120.00°
Closest atoms and distances in Å follow each position.
Space group P-62m (No. 189)
Symmetry-distinct sites (fractional):
Zr (0.0000, 0.3943, 0.0000) (multiplicity 3)  4 Bi 3.08, 1 Cu 3.10, 4 Zr 3.31
Zr (0.0000, 0.7625, 0.5000) (multiplicity 3)  2 Cu 2.68
Cu (0.0000, 0.0000, 0.0000) (multiplicity 1)  6 Zr 2.68
Bi (0.3333, 0.6667, 0.5000) (multiplicity 2)  9 Zr 3.06-3.08

Output
Its total energy is -65.79 eV per cell. For the formation energy, the calculation gives -292 meV/atom.


The following is a DFT calculation (GGA-PBE) of Dy5Bi3 after structural relaxation.

Cell: 12.0785 9.4901 8.3306 Å, 90.00 90.00 90.00°
Closest atoms and distances in Å follow each position.
Space group Pnma (No. 62)
Symmetry-distinct sites (fractional):
Dy (0.0046, 0.2500, 0.0240) (multiplicity 4)  5 Bi 3.17-3.24, 3 Dy 3.37-3.54
Dy (0.0654, 0.0620, 0.6925) (multiplicity 8)  4 Bi 3.10-3.45, 1 Dy 3.37
Dy (0.2088, 0.7500, 0.3431) (multiplicity 4)  5 Bi 3.08-3.38
Dy (0.2299, 0.2500, 0.3275) (multiplicity 4)  5 Bi 3.13-3.35
Bi (0.0244, 0.7500, 0.5978) (multiplicity 4)  7 Dy 3.08-3.20
Bi (0.1751, 0.5084, 0.0659) (multiplicity 8)  9 Dy 3.22-3.57

Output
Its total energy is -160.40 eV per cell. For the formation energy, the calculation gives -674 meV/atom. The calculation puts the energy above the most stable polymorph in this dataset at 0.008 eV per atom.


The following is a DFT calculation (GGA-PBE) of Dy3Bi after structural relaxation.

Cell: 4.8656 4.8656 4.8656 Å, 90.00 90.00 90.00°
Closest atoms and distances in Å follow each position.
Space group Pm-3m (No. 221)
Symmetry-distinct sites (fractional):
Dy (0.0000, 0.0000, 0.5000) (multiplicity 3)  8 Dy 3.44, 4 Bi 3.44
Bi (0.5000, 0.5000, 0.5000) (multiplicity 1)  12 Dy 3.44

Output
Its total energy is -19.06 eV per cell. For the formation energy, the calculation gives -337 meV/atom.


The following is a DFT calculation (GGA-PBE) of Dy5Bi3 after structural relaxation.

Cell: 8.2662 9.5473 12.0498 Å, 90.00 90.00 90.00°
Closest atoms and distances in Å follow each position.
Space group Pnma (No. 62)
Symmetry-distinct sites (fractional):
Dy (0.0242, 0.2500, 0.0116) (multiplicity 4)  5 Bi 3.19-3.26, 3 Dy 3.37-3.52
Dy (0.1474, 0.7500, 0.2852) (multiplicity 4)  5 Bi 3.14-3.38, 2 Dy 3.52
Dy (0.1873, 0.2500, 0.2812) (multiplicity 4)  6 Bi 3.13-3.45
Dy (0.1929, 0.0635, 0.5583) (multiplicity 8)  4 Bi 3.11-3.43, 1 Dy 3.37
Bi (0.0645, 0.0044, 0.8253) (multiplicity 8)  9 Dy 3.21-3.51
Bi (0.0926, 0.7500, 0.5433) (multiplicity 4)  8 Dy 3.11-3.39

Output
Its total energy is -160.65 eV per cell. For the formation energy, the calculation gives -682 meV/atom. The calculation puts the energy above the most stable polymorph in this dataset at 0.000 eV per atom.


The following is a DFT calculation (GGA-PBE) of KEuDyBiO6 after structural relaxation.

Cell: 8.6242 8.6327 8.6906 Å, 90.00 90.00 90.00°
Closest atoms and distances in Å follow each position.
Space group Pnnn (No. 48, origin choice 2)
Symmetry-distinct sites (fractional):
K (0.2500, 0.2500, 0.2500) (multiplicity 2)  4 O 2.54
K (0.2500, 0.7500, 0.7500) (multiplicity 2)  4 O 2.55
Eu (0.2500, 0.2500, 0.7500) (multiplicity 2)  4 O 2.50
Eu (0.2500, 0.7500, 0.2500) (multiplicity 2)  12 O 3.05-3.06
Dy (0.0000, 0.0000, 0.0000) (multiplicity 4)  6 O 2.28-2.30
Bi (0.0000, 0.0000, 0.5000) (multiplicity 4)  6 O 2.15-2.19
O (0.0409, 0.0498, 0.7432) (multiplicity 8)  1 Bi 2.19, 1 Dy 2.30
O (0.0470, 0.7422, 0.9626) (multiplicity 8)  1 Bi 2.15, 1 Dy 2.29
O (0.2424, 0.0390, 0.4535) (multiplicity 8)  1 Bi 2.16, 1 Dy 2.28

Output
Its total energy is -278.34 eV per cell. For the formation energy, the calculation gives -2415 meV/atom. The calculation puts the energy above the most stable polymorph in this dataset at 0.000 eV per atom.